Entry 1:
A plane-wave DFT calculation with PBE-GGA was carried out for a relaxed structure of ZrScNi2Sn2.

The structure in POSCAR format:
```
ZrScNi2Sn2
1.0
-5.8951 4.2408 2.1230
-5.0533 1.5166 5.4228
-2.6502 5.1182 4.9014
Zr Sc Ni Sn
1 1 2 2
Cartesian
-5.0886 4.0696 4.6577
-11.9075 9.5231 10.8993
-6.7888 5.4294 6.2140
-0.0096 0.0077 0.0088
-1.7048 1.3634 1.5604
-8.4971 6.7956 7.7777
```

Properties
final energy	-38.3	eV per cell
calculated formation energy	-0.6436	eV per atom
crystal system	trigonal



Entry 2:
A plane-wave DFT calculation with PBE-GGA was carried out for a relaxed structure of KRb2AsBr6.

The structure in POSCAR format:
```
KRb2AsBr6
1.0
1.7956 -4.6414 6.5216
-6.0122 -2.7569 4.8529
-1.9279 -7.9737 0.0155
Br Rb As K
6 2 1 1
Cartesian
-3.6912 -7.5303 8.7669
-4.6624 -5.0200 5.2395
-0.4394 -6.0392 6.1421
-5.7051 -9.3327 5.2479
-2.4533 -7.8416 2.6232
-1.4821 -10.3520 6.1505
-1.5361 -3.8430 2.8475
-4.6084 -11.5290 8.5425
0.0000 0.0000 0.0000
-3.0723 -7.6860 5.6950
```

Properties
final energy	-29.7	eV per cell
calculated formation energy	-1.5342	eV per atom
crystal system	cubic



Entry 3:
A plane-wave DFT calculation with PBE-GGA was carried out for a relaxed structure of Na4SnH32Se4O16.

The structure in POSCAR format:
```
Na4SnH32Se4O16
1.0
-9.9159 -3.9759 12.7233
-0.0897 -8.0892 -2.5977
7.0703 -1.9818 4.8909
H O Se Na Sn
64 32 8 8 2
Cartesian
-3.3333 -6.3813 14.7527
-4.8751 -8.8228 14.4915
0.0859 -9.6053 5.9704
-0.7662 -5.3489 5.5592
3.6099 -5.4397 6.5369
0.3543 -5.8201 9.1966
0.1953 -10.2092 10.0060
-4.4266 -5.3954 15.2242
-3.1447 -6.0082 2.7993
-6.4913 -10.6681 6.1557
-6.5452 -8.6072 8.4796
2.0743 -3.0566 8.4360
1.9398 -5.2241 0.5251
5.1301 -2.7476 6.8411
0.3980 -7.6656 0.2639
0.5342 -9.7159 8.5303
-2.0877 -7.5152 10.5334
-6.8676 -6.4966 14.2827
1.4318 -4.4676 2.7389
-3.2896 -8.2268 5.8199
3.9322 -7.5503 0.7339
1.1102 -7.9356 3.8088
-6.2041 -5.7177 13.1300
1.4913 -8.6515 -0.2077
5.2257 -8.3322 4.4942
-0.1813 -2.6552 1.2262
-4.0455 -6.1112 11.2077
1.2112 -2.4542 0.4803
-5.1254 -5.1239 10.6747
-0.9995 -9.5277 7.0619
-7.1590 -11.8521 9.3384
-4.1465 -11.5927 14.5363
-8.0655 -11.2992 8.1755
-2.2475 -10.1506 4.5897
-2.4125 -8.7925 3.8700
-5.0096 -10.9903 6.5805
-0.5075 -7.0716 8.8873
-8.1611 -5.7147 10.5223
-1.5867 -5.3835 0.8003
-4.3672 -9.5793 12.2776
3.2687 -8.3292 1.8865
-2.1692 -8.6980 9.4574
-5.9687 -4.8356 7.7093
-3.0213 -4.4415 9.0461
-0.5229 -5.2544 11.1465
4.2236 -2.1948 5.6781
-3.1306 -3.8377 5.0105
0.7625 -5.8860 2.4170
5.2139 -3.8716 2.9612
-0.6878 -3.8963 10.4268
-0.8477 -6.5317 4.4831
2.1900 -8.9230 4.3419
-1.3486 -8.6633 14.2163
0.2094 -8.0386 12.2172
3.0334 -9.2112 7.3072
-5.3984 -9.4613 9.1065
-2.4278 -6.9753 6.1292
-8.1492 -10.1753 12.0554
3.5560 -3.3788 8.8609
-2.7540 -11.3917 13.7904
2.4631 -4.5856 5.9101
-3.6979 -8.1609 12.5995
-1.9358 -4.5192 7.9546
-3.4696 -4.3309 6.4862
-7.8782 -3.9607 11.4032
-3.8910 -6.1685 15.5408
5.0530 -4.8251 2.7577
-6.8208 -6.4732 13.2947
-4.5155 -8.7011 12.7080
5.3033 -7.3773 4.7314
2.8400 -5.4897 5.9213
-3.8720 -4.0697 5.6190
0.3944 -6.6930 8.7353
3.8855 -7.5737 1.7219
1.9056 -7.9936 4.4106
2.6479 -11.0064 6.5581
-0.1031 -9.1730 6.8397
-2.8322 -4.8739 8.1769
-3.1634 -11.6212 14.6584
0.9556 -7.8784 -0.5242
-0.0236 -4.6178 10.5784
-2.9118 -9.4291 4.4381
4.9428 -10.0862 3.6134
-2.0693 -7.7203 9.5692
-7.9883 -9.2218 12.2588
-5.7753 -8.5572 9.0952
-5.9350 -5.7460 7.3293
-5.5832 -3.0405 8.4584
2.9997 -8.3009 7.6872
1.5802 -5.3458 2.3085
-8.2387 -6.6696 10.2852
0.9367 -9.9772 9.3975
-0.8660 -6.3266 5.4474
0.2281 -2.4257 0.3582
-4.8409 -6.0533 10.6059
-3.3297 -7.3539 6.2812
-2.9344 -10.6464 8.0195
2.4097 -2.4339 3.9039
-1.3080 -10.7632 11.8875
-0.0009 -3.4005 6.9970
-5.3450 -11.6129 11.1126
-2.1847 -6.2432 12.6167
-0.7507 -7.8037 2.3998
-1.6273 -3.2837 3.1291
-0.0448 -4.0446 -1.2988
-6.3664 -7.8675 11.3302
-5.0028 -6.0325 5.0628
3.4310 -6.1794 3.6863
-4.9580 -1.9879 6.3616
0.0000 0.0000 0.0000
-4.0991 -6.9584 8.4211
1.1638 -7.0884 6.5955
-2.9580 -11.8442 10.2638
0.0226 -2.2026 4.7528
```

Properties
final energy	-536.6	eV per cell
calculated formation energy	-1.1978	eV per atom
crystal system	monoclinic



Entry 4:
A plane-wave DFT calculation with PBE-GGA was carried out for a relaxed structure of YCu3HgSe4.

The structure in POSCAR format:
```
YCu3HgSe4
1.0
-0.8434 5.7144 1.8109
-5.7876 -0.2998 -1.7493
-1.5616 -1.9751 5.5051
Y Cu Se Hg
1 3 4 1
Cartesian
0.0000 0.0000 0.0000
-0.7808 -0.9875 2.7526
-0.4217 2.8572 0.9055
-2.8938 -0.1499 -0.8746
-5.3665 3.5714 1.4194
-3.2487 2.7319 5.0549
-2.0434 0.8579 1.3885
-5.7264 -0.2821 3.2707
-4.0963 1.7198 2.7834
```

Properties
final energy	-36.9	eV per cell
calculated formation energy	-0.6325	eV per atom
crystal system	cubic



Entry 5:
A plane-wave DFT calculation with PBE-GGA was carried out for a relaxed structure of Mg2Ti3NiS8.

The structure in POSCAR format:
```
Mg2Ti3NiS8
1.0
-5.2496 -3.0647 4.2146
-2.8720 -6.5923 -1.7117
1.4434 -5.9572 4.1282
Ni S Ti Mg
1 8 3 2
Cartesian
-3.3391 -7.8070 3.3154
-3.6282 -8.5393 5.6441
-3.0499 -7.0749 0.9869
-1.1198 -6.7903 3.5985
-2.5655 -10.1170 2.9941
-4.1126 -5.4972 3.6370
-1.7234 -4.0300 1.7116
-4.9547 -11.5842 4.9195
-5.5584 -8.8240 3.0326
-4.0608 -4.8285 1.2515
-4.7750 -11.1032 2.4597
-0.7143 -6.2748 1.2083
-5.8600 -13.7036 5.8203
-0.8182 -1.9107 0.8108
```

Properties
final energy	-81.5	eV per cell
calculated formation energy	-1.4109	eV per atom
crystal system	monoclinic



Entry 6:
A plane-wave DFT calculation with PBE-GGA was carried out for a relaxed structure of KGdF4.

The structure in POSCAR format:
```
KGdF4
1.0
0.0000 -3.6938 0.0000
-6.2352 0.0000 0.0000
0.0000 0.0000 -15.6633
K F Gd
4 16 4
Cartesian
-1.7179 -2.7703 -10.9784
-1.3997 -0.9234 -3.1467
-4.8355 -2.7703 -12.5166
-4.5172 -0.9234 -4.6849
-3.6952 -0.9234 -10.8075
-3.7914 -0.9234 -2.0840
-0.5776 -0.9234 -12.6875
-5.4073 -2.7703 -7.2686
-2.2898 -2.7703 -0.5631
-3.0904 -2.7703 -8.7247
-3.1448 -0.9234 -6.9386
-6.2079 -2.7703 -14.7703
-2.5400 -2.7703 -4.8558
-5.5614 -2.7703 -9.9156
-0.0272 -0.9234 -0.8930
-5.6576 -2.7703 -2.9758
-0.8278 -0.9234 -8.3947
-0.6738 -0.9234 -5.7477
-3.9454 -0.9234 -15.1002
-2.4438 -2.7703 -13.5794
-1.5525 -2.7703 -6.8907
-1.5651 -0.9234 -14.7223
-4.6701 -2.7703 -0.9410
-4.6827 -0.9234 -8.7726
```

Properties
final energy	-178.9	eV per cell
calculated formation energy	-3.9565	eV per atom
crystal system	orthorhombic